Record 1
This record from the Materials Project database describes a relaxed structure of K2SiP2. The functional is r²SCAN.

abc: 7.9528 7.9528 7.9528
angles: 128.82 70.54 134.94
With the nearest neighbours (Å) after each atom.
Fractional positions:
1 K 0.1460 0.1615 0.3075  6 P 3.34-3.51, 2 Si 3.36
2 K 0.3540 0.6615 0.0155  6 P 3.34-3.51, 2 Si 3.36
3 K 0.6460 0.3385 0.9845  6 P 3.34-3.51, 2 Si 3.36
4 K 0.8540 0.8385 0.6925  6 P 3.34-3.51, 2 Si 3.36
5 Si 0.2500 0.7500 0.5000  4 P 2.27
6 Si 0.7500 0.2500 0.5000  4 P 2.27
7 P 0.0961 0.6640 0.7601  2 Si 2.27
8 P 0.4039 0.1640 0.5680  2 Si 2.27
9 P 0.5961 0.8360 0.4320  2 Si 2.27
10 P 0.9039 0.3360 0.2399  2 Si 2.27

Record 2
This record from the Materials Project database describes a relaxed structure of LiP5. The functional is r²SCAN.

abc: 10.4935 6.6687 6.5738
angles: 90.00 90.00 90.00
With the nearest neighbours (Å) after each atom.
Fractional positions:
1 Li 0.0778 0.0444 0.0000  3 P 2.55-2.65
2 Li 0.4222 0.5444 0.5000  3 P 2.55-2.65
3 Li 0.5778 0.4556 0.0000  3 P 2.55-2.65
4 Li 0.9222 0.9556 0.5000  3 P 2.55-2.65
5 P 0.0849 0.5833 0.3699  3 P 2.22-2.23
6 P 0.0927 0.5963 0.8535  3 P 2.22-2.23
7 P 0.1307 0.1110 0.6275  2 P 2.17
8 P 0.1911 0.4475 0.1113  3 P 2.17-2.23
9 P 0.1918 0.4221 0.6113  3 P 2.17-2.23
10 P 0.3082 0.9221 0.1113  3 P 2.17-2.23
11 P 0.3089 0.9475 0.6113  3 P 2.17-2.23
12 P 0.3693 0.6110 0.1275  2 P 2.17
13 P 0.4073 0.0963 0.3535  3 P 2.22-2.23
14 P 0.4151 0.0833 0.8699  3 P 2.22-2.23
15 P 0.5849 0.9167 0.3699  3 P 2.22-2.23
16 P 0.5927 0.9037 0.8535  3 P 2.22-2.23
17 P 0.6307 0.3890 0.6275  2 P 2.17
18 P 0.6911 0.0525 0.1113  3 P 2.17-2.23
19 P 0.6918 0.0779 0.6113  3 P 2.17-2.23
20 P 0.8082 0.5779 0.1113  3 P 2.17-2.23
21 P 0.8089 0.5525 0.6113  3 P 2.17-2.23
22 P 0.8693 0.8890 0.1275  2 P 2.17
23 P 0.9073 0.4037 0.3535  3 P 2.22-2.23
24 P 0.9151 0.4167 0.8699  3 P 2.22-2.23

Record 3
This record from the Materials Project database describes a relaxed structure of ZnF2. The functional is r²SCAN.

abc: 4.7029 4.7029 3.1329
angles: 90.00 90.00 90.00
With the nearest neighbours (Å) after each atom.
Fractional positions:
1 Zn 0.0000 0.0000 0.0000  6 F 2.02-2.04
2 Zn 0.5000 0.5000 0.5000  6 F 2.02-2.04
3 F 0.1969 0.1969 0.5000  3 Zn 2.02-2.04
4 F 0.3031 0.6969 0.0000  3 Zn 2.02-2.04
5 F 0.6969 0.3031 0.0000  3 Zn 2.02-2.04
6 F 0.8031 0.8031 0.5000  3 Zn 2.02-2.04

Record 4
This record from the Materials Project database describes a relaxed structure of SiO2. The functional is r²SCAN.

abc: 4.9308 8.1797 5.0051
angles: 90.00 118.37 90.00
With the nearest neighbours (Å) after each atom.
Fractional positions:
1 Si 0.0815 0.0000 0.3495  4 O 1.60-1.61
2 Si 0.2458 0.6259 0.3062  4 O 1.60-1.62
3 Si 0.7542 0.1259 0.6938  4 O 1.60-1.62
4 Si 0.9185 0.5000 0.6505  4 O 1.60-1.61
5 O 0.0488 0.5085 0.4098  2 Si 1.61-1.62
6 O 0.1508 0.8129 0.3094  2 Si 1.60
7 O 0.1775 0.5735 0.9694  2 Si 1.61
8 O 0.3909 0.1076 0.4659  2 Si 1.61
9 O 0.6091 0.6076 0.5341  2 Si 1.61
10 O 0.8225 0.0735 0.0306  2 Si 1.61
11 O 0.8492 0.3129 0.6906  2 Si 1.60
12 O 0.9512 0.0085 0.5902  2 Si 1.61-1.62

Record 5
This record from the Materials Project database describes a relaxed structure of CaGe2Ir2. The functional is r²SCAN.

abc: 5.9593 5.9593 5.9593
angles: 139.07 139.07 59.26
With the nearest neighbours (Å) after each atom.
Fractional positions:
1 Ca 0.0000 0.0000 0.0000  8 Ge 3.22, 8 Ir 3.32
2 Ge 0.3749 0.3749 0.0000  4 Ir 2.45, 1 Ge 2.59
3 Ge 0.6251 0.6251 0.0000  4 Ir 2.45, 1 Ge 2.59
4 Ir 0.2500 0.7500 0.5000  4 Ge 2.45
5 Ir 0.7500 0.2500 0.5000  4 Ge 2.45

Record 6
This record from the Materials Project database describes a relaxed structure of LuMg2Mn3S8. The functional is r²SCAN.

abc: 7.4249 7.4249 7.4249
angles: 59.43 59.43 59.43
With the nearest neighbours (Å) after each atom.
Fractional positions:
1 Lu 0.0000 0.0000 0.0000  6 S 2.63
2 Mg 0.3762 0.3762 0.3762  4 S 2.43-2.46
3 Mg 0.6238 0.6238 0.6238  4 S 2.43-2.46
4 Mn 0.0000 0.0000 0.5000  6 S 2.46-2.53
5 Mn 0.0000 0.5000 0.0000  6 S 2.46-2.53
6 Mn 0.5000 0.0000 0.0000  6 S 2.46-2.53
7 S 0.2200 0.7494 0.7494  1 Mg 2.43, 2 Mn 2.46, 1 Lu 2.63
8 S 0.2414 0.2414 0.2414  1 Mg 2.46, 3 Mn 2.53
9 S 0.2506 0.2506 0.7800  1 Mg 2.43, 2 Mn 2.46, 1 Lu 2.63
10 S 0.2506 0.7800 0.2506  1 Mg 2.43, 2 Mn 2.46, 1 Lu 2.63
11 S 0.7494 0.2200 0.7494  1 Mg 2.43, 2 Mn 2.46, 1 Lu 2.63
12 S 0.7494 0.7494 0.2200  1 Mg 2.43, 2 Mn 2.46, 1 Lu 2.63
13 S 0.7586 0.7586 0.7586  1 Mg 2.46, 3 Mn 2.53
14 S 0.7800 0.2506 0.2506  1 Mg 2.43, 2 Mn 2.46, 1 Lu 2.63

Record 7
This record from the Materials Project database describes a relaxed structure of La2ZrS5. The functional is r²SCAN.

abc: 11.5727 8.2300 7.4374
angles: 90.00 90.00 90.00
With the nearest neighbours (Å) after each atom.
Fractional positions:
1 La 0.1718 0.0014 0.0554  8 S 2.91-3.06
2 La 0.1718 0.4986 0.0554  8 S 2.91-3.06
3 La 0.3282 0.5014 0.5554  8 S 2.91-3.06
4 La 0.3282 0.9986 0.5554  8 S 2.91-3.06
5 La 0.6718 0.0014 0.4446  8 S 2.91-3.06
6 La 0.6718 0.4986 0.4446  8 S 2.91-3.06
7 La 0.8282 0.5014 0.9446  8 S 2.91-3.06
8 La 0.8282 0.9986 0.9446  8 S 2.91-3.06
9 Zr 0.0096 0.2500 0.5725  7 S 2.57-2.74
10 Zr 0.4904 0.7500 0.0725  7 S 2.57-2.74
11 Zr 0.5096 0.2500 0.9275  7 S 2.57-2.74
12 Zr 0.9904 0.7500 0.4275  7 S 2.57-2.74
13 S 0.0044 0.2500 0.9414  1 Zr 2.74, 4 La 2.91-2.94
14 S 0.0759 0.5338 0.6747  2 Zr 2.57-2.74
15 S 0.0759 0.9662 0.6747  2 Zr 2.57-2.74
16 S 0.1908 0.2500 0.3584  1 Zr 2.63
17 S 0.2072 0.7500 0.3386  1 Zr 2.59
18 S 0.2928 0.2500 0.8386  1 Zr 2.59
19 S 0.3092 0.7500 0.8584  1 Zr 2.63
20 S 0.4241 0.0338 0.1747  2 Zr 2.57-2.74
21 S 0.4241 0.4662 0.1747  2 Zr 2.57-2.74
22 S 0.4956 0.7500 0.4414  1 Zr 2.74, 4 La 2.91-2.94
23 S 0.5044 0.2500 0.5586  1 Zr 2.74, 4 La 2.91-2.94
24 S 0.5759 0.5338 0.8253  2 Zr 2.57-2.74
25 S 0.5759 0.9662 0.8253  2 Zr 2.57-2.74
26 S 0.6908 0.2500 0.1416  1 Zr 2.63
27 S 0.7072 0.7500 0.1614  1 Zr 2.59
28 S 0.7928 0.2500 0.6614  1 Zr 2.59
29 S 0.8092 0.7500 0.6416  1 Zr 2.63
30 S 0.9241 0.0338 0.3253  2 Zr 2.57-2.74
31 S 0.9241 0.4662 0.3253  2 Zr 2.57-2.74
32 S 0.9956 0.7500 0.0586  1 Zr 2.74, 4 La 2.91-2.94

Record 8
This record from the Materials Project database describes a relaxed structure of CeCoSi. The functional is r²SCAN.

abc: 4.0243 4.0243 6.8434
angles: 90.00 90.00 90.00
With the nearest neighbours (Å) after each atom.
Fractional positions:
1 Ce 0.2500 0.2500 0.1832  4 Co 2.96, 4 Si 3.02
2 Ce 0.7500 0.7500 0.8168  4 Co 2.96, 4 Si 3.02
3 Co 0.2500 0.7500 0.5000  4 Si 2.32
4 Co 0.7500 0.2500 0.5000  4 Si 2.32
5 Si 0.2500 0.2500 0.6694  4 Co 2.32
6 Si 0.7500 0.7500 0.3306  4 Co 2.32

Record 9
This record from the Materials Project database describes a relaxed structure of LiB3O5. The functional is r²SCAN.

abc: 8.3425 7.3214 5.2175
angles: 90.00 90.00 90.00
With the nearest neighbours (Å) after each atom.
Fractional positions:
1 Li 0.0804 0.0683 0.0000  4 O 1.99-2.07
2 Li 0.4196 0.5683 0.5000  4 O 1.99-2.07
3 Li 0.5804 0.4317 0.0000  4 O 1.99-2.07
4 Li 0.9196 0.9317 0.5000  4 O 1.99-2.07
5 B 0.0092 0.6656 0.1315  3 O 1.35-1.40
6 B 0.1574 0.7484 0.7537  3 O 1.36-1.39
7 B 0.1955 0.4412 0.9349  4 O 1.46-1.49
8 B 0.3045 0.9412 0.4349  4 O 1.46-1.49
9 B 0.3426 0.2484 0.2537  3 O 1.36-1.39
10 B 0.4908 0.1656 0.6315  3 O 1.35-1.40
11 B 0.5092 0.8344 0.1315  3 O 1.35-1.40
12 B 0.6574 0.7516 0.7537  3 O 1.36-1.39
13 B 0.6955 0.0588 0.9349  4 O 1.46-1.49
14 B 0.8045 0.5588 0.4349  4 O 1.46-1.49
15 B 0.8426 0.2516 0.2537  3 O 1.36-1.39
16 B 0.9908 0.3344 0.6315  3 O 1.35-1.40
17 O 0.0593 0.7995 0.9576  2 B 1.39-1.40
18 O 0.0847 0.5027 0.1341  2 B 1.35-1.46
19 O 0.1163 0.2924 0.7885  2 B 1.37-1.49
20 O 0.1590 0.8723 0.5578  2 B 1.37-1.46
21 O 0.2414 0.5896 0.7548  2 B 1.36-1.49
22 O 0.2586 0.0896 0.2548  2 B 1.36-1.49
23 O 0.3410 0.3723 0.0578  2 B 1.37-1.46
24 O 0.3837 0.7924 0.2885  2 B 1.37-1.49
25 O 0.4153 0.0027 0.6341  2 B 1.35-1.46
26 O 0.4407 0.2995 0.4576  2 B 1.39-1.40
27 O 0.5593 0.7005 0.9576  2 B 1.39-1.40
28 O 0.5847 0.9973 0.1341  2 B 1.35-1.46
29 O 0.6163 0.2076 0.7885  2 B 1.37-1.49
30 O 0.6590 0.6277 0.5578  2 B 1.37-1.46
31 O 0.7414 0.9104 0.7548  2 B 1.36-1.49
32 O 0.7586 0.4104 0.2548  2 B 1.36-1.49
33 O 0.8410 0.1277 0.0578  2 B 1.37-1.46
34 O 0.8837 0.7076 0.2885  2 B 1.37-1.49
35 O 0.9153 0.4973 0.6341  2 B 1.35-1.46
36 O 0.9407 0.2005 0.4576  2 B 1.39-1.40

Number 1: energy of formation from the pure elements -0.600 eV/atom, ρ 2.1 g/cm3. Number 2: energy of formation from the pure elements -0.239 eV/atom, ρ 2.3 g/cm3. Number 3: energy of formation from the pure elements -2.562 eV/atom, ρ 5.0 g/cm3. Number 4: energy of formation from the pure elements -3.030 eV/atom, ρ 2.2 g/cm3. Number 5: energy of formation from the pure elements -0.755 eV/atom, ρ 10.5 g/cm3. Number 6: energy of formation from the pure elements -1.338 eV/atom, ρ 3.7 g/cm3. Number 7: energy of formation from the pure elements -2.286 eV/atom, ρ 5.0 g/cm3. Number 8: energy of formation from the pure elements -0.646 eV/atom, ρ 6.8 g/cm3. Number 9: energy of formation from the pure elements -2.604 eV/atom, ρ 2.5 g/cm3.